[1]
{
  "formula": "LiV3OF11",
  "functional": "PBE with a Hubbard U",
  "state": "relaxed",
  "lattice": [[15.380, 0.000, 0.000], [0.000, 5.240, 0.000], [-0.946, 0.000, 5.328]],
  "species": ["Li", "Li", "V", "V", "V", "V", "V", "V", "O", "O", "F", "F", "F", "F", "F", "F", "F", "F", "F", "F", "F", "F", "F", "F", "F", "F", "F", "F", "F", "F", "F", "F"],
  "frac_coords": [[0.000, 0.210, 0.000], [0.000, 0.790, 0.500], [0.233, 0.249, 0.034], [0.233, 0.751, 0.534], [0.563, 0.250, 0.700], [0.563, 0.750, 0.200], [0.890, 0.281, 0.385], [0.890, 0.719, 0.885], [0.921, 0.452, 0.679], [0.921, 0.548, 0.179], [0.005, 0.143, 0.382], [0.005, 0.857, 0.882], [0.115, 0.335, 0.991], [0.115, 0.665, 0.491], [0.206, 0.053, 0.720], [0.206, 0.947, 0.220], [0.254, 0.444, 0.347], [0.254, 0.556, 0.847], [0.345, 0.160, 0.072], [0.345, 0.840, 0.572], [0.450, 0.337, 0.658], [0.450, 0.663, 0.158], [0.539, 0.055, 0.385], [0.539, 0.945, 0.885], [0.587, 0.444, 0.014], [0.587, 0.556, 0.514], [0.676, 0.167, 0.737], [0.676, 0.833, 0.237], [0.775, 0.329, 0.312], [0.775, 0.671, 0.812], [0.874, 0.047, 0.052], [0.874, 0.953, 0.552]],
  "e_above_lowest_polymorph_mev_per_atom": 23,
  "sg": "Pc"
}

[2]
{
  "formula": "Ca3Fe2W2O12",
  "functional": "PBE with a Hubbard U",
  "state": "relaxed",
  "lattice": [[5.510, 0.000, 0.000], [0.000, 5.535, 0.000], [-0.008, 0.000, 7.749]],
  "species": ["Ca", "Ca", "Ca", "Fe", "Fe", "W", "W", "O", "O", "O", "O", "O", "O", "O", "O", "O", "O", "O", "O"],
  "frac_coords": [[0.000, 0.000, 0.000], [0.024, 0.000, 0.499], [0.505, 0.500, 0.501], [0.019, 0.500, 0.752], [0.515, 0.000, 0.249], [0.019, 0.500, 0.243], [0.520, 0.000, 0.757], [0.095, 0.500, 0.007], [0.266, 0.254, 0.304], [0.266, 0.746, 0.304], [0.275, 0.244, 0.699], [0.275, 0.756, 0.699], [0.427, 0.000, 0.994], [0.600, 0.000, 0.506], [0.775, 0.236, 0.789], [0.775, 0.764, 0.789], [0.790, 0.241, 0.215], [0.790, 0.759, 0.215], [0.930, 0.500, 0.496]],
  "e_above_lowest_polymorph_mev_per_atom": 0,
  "sg": "Pm"
}

[3]
{
  "formula": "Rb2VCuF6",
  "functional": "PBE with a Hubbard U",
  "state": "relaxed",
  "lattice": [[0.000, 4.244, 4.244], [4.244, 0.000, 4.244], [4.244, 4.244, 0.000]],
  "species": ["Rb", "Rb", "V", "Cu", "F", "F", "F", "F", "F", "F"],
  "frac_coords": [[0.250, 0.250, 0.250], [0.750, 0.750, 0.750], [0.000, 0.000, 0.000], [0.500, 0.500, 0.500], [0.234, 0.234, 0.766], [0.234, 0.766, 0.234], [0.234, 0.766, 0.766], [0.766, 0.234, 0.234], [0.766, 0.234, 0.766], [0.766, 0.766, 0.234]],
  "sg": "Fm-3m",
  "e_tot_ev_per_atom": -4.90
}

[4]
{
  "formula": "Li9Mn2Co5O16",
  "functional": "PBE with a Hubbard U",
  "state": "relaxed",
  "lattice": [[2.939, 0.000, 0.000], [-0.360, 5.931, 0.000], [-0.265, -0.208, 16.196]],
  "species": ["Li", "Li", "Li", "Li", "Li", "Li", "Li", "Li", "Li", "Mn", "Mn", "Co", "Co", "Co", "Co", "Co", "O", "O", "O", "O", "O", "O", "O", "O", "O", "O", "O", "O", "O", "O", "O", "O"],
  "frac_coords": [[0.000, 0.000, 0.000], [0.000, 0.000, 0.500], [0.000, 0.500, 0.000], [0.002, 0.499, 0.749], [0.497, 0.745, 0.882], [0.499, 0.250, 0.625], [0.501, 0.750, 0.375], [0.503, 0.255, 0.118], [0.998, 0.501, 0.251], [0.496, 0.255, 0.879], [0.504, 0.745, 0.121], [0.000, 0.500, 0.500], [0.008, 0.998, 0.251], [0.500, 0.250, 0.375], [0.500, 0.750, 0.625], [0.992, 0.002, 0.749], [0.019, 0.470, 0.874], [0.023, 0.974, 0.131], [0.026, 0.013, 0.370], [0.028, 0.512, 0.619], [0.467, 0.235, 0.755], [0.473, 0.237, 0.255], [0.473, 0.738, 0.506], [0.495, 0.754, 0.009], [0.505, 0.246, 0.991], [0.527, 0.262, 0.494], [0.527, 0.763, 0.745], [0.533, 0.765, 0.245], [0.972, 0.488, 0.381], [0.974, 0.987, 0.630], [0.977, 0.026, 0.869], [0.981, 0.530, 0.126]],
  "e_above_lowest_polymorph_mev_per_atom": 32,
  "sg": "P-1"
}

[5]
{
  "formula": "Na8Fe7P8O32",
  "functional": "PBE with a Hubbard U",
  "state": "relaxed",
  "lattice": [[5.045, -6.326, 0.000], [5.045, 6.326, 0.000], [-4.957, 0.000, 10.402]],
  "species": ["Na", "Na", "Na", "Na", "Na", "Na", "Na", "Na", "Fe", "Fe", "Fe", "Fe", "Fe", "Fe", "Fe", "P", "P", "P", "P", "P", "P", "P", "P", "O", "O", "O", "O", "O", "O", "O", "O", "O", "O", "O", "O", "O", "O", "O", "O", "O", "O", "O", "O", "O", "O", "O", "O", "O", "O", "O", "O", "O", "O", "O", "O"],
  "frac_coords": [[0.118, 0.872, 0.479], [0.120, 0.880, 0.000], [0.381, 0.632, 0.497], [0.391, 0.634, 0.997], [0.632, 0.381, 0.497], [0.634, 0.391, 0.997], [0.872, 0.118, 0.479], [0.880, 0.120, 0.000], [0.354, 0.354, 0.708], [0.365, 0.365, 0.211], [0.385, 0.885, 0.778], [0.402, 0.903, 0.281], [0.853, 0.853, 0.707], [0.885, 0.385, 0.778], [0.903, 0.402, 0.281], [0.028, 0.525, 0.600], [0.103, 0.590, 0.106], [0.168, 0.168, 0.886], [0.235, 0.235, 0.394], [0.525, 0.028, 0.600], [0.590, 0.103, 0.106], [0.666, 0.666, 0.881], [0.722, 0.722, 0.386], [0.067, 0.566, 0.964], [0.089, 0.089, 0.397], [0.094, 0.395, 0.667], [0.136, 0.794, 0.184], [0.161, 0.361, 0.320], [0.168, 0.971, 0.818], [0.178, 0.681, 0.603], [0.187, 0.187, 0.027], [0.296, 0.578, 0.167], [0.317, 0.317, 0.879], [0.361, 0.161, 0.320], [0.366, 0.366, 0.531], [0.395, 0.094, 0.667], [0.404, 0.909, 0.455], [0.452, 0.951, 0.123], [0.469, 0.665, 0.809], [0.566, 0.067, 0.964], [0.568, 0.568, 0.385], [0.578, 0.296, 0.167], [0.586, 0.897, 0.667], [0.641, 0.847, 0.321], [0.665, 0.469, 0.809], [0.681, 0.178, 0.603], [0.689, 0.689, 0.020], [0.794, 0.136, 0.184], [0.815, 0.815, 0.870], [0.846, 0.846, 0.526], [0.847, 0.641, 0.321], [0.897, 0.586, 0.667], [0.909, 0.404, 0.455], [0.951, 0.452, 0.123], [0.971, 0.168, 0.818]],
  "sg": "Cm",
  "e_tot_ev_per_atom": -6.62
}

[6]
{
  "formula": "Sr2MgMnO4",
  "functional": "PBE with a Hubbard U",
  "state": "relaxed",
  "lattice": [[3.966, 0.000, 0.000], [0.000, 3.966, 0.000], [0.000, 0.000, 15.363]],
  "species": ["Sr", "Sr", "Sr", "Sr", "Mg", "Mg", "Mn", "Mn", "O", "O", "O", "O", "O", "O", "O", "O"],
  "frac_coords": [[0.000, 0.000, 0.111], [0.000, 0.000, 0.889], [0.500, 0.500, 0.389], [0.500, 0.500, 0.611], [0.000, 0.500, 0.250], [0.500, 0.000, 0.750], [0.000, 0.000, 0.500], [0.500, 0.500, 0.000], [0.000, 0.000, 0.305], [0.000, 0.000, 0.695], [0.000, 0.500, 0.019], [0.000, 0.500, 0.481], [0.500, 0.000, 0.519], [0.500, 0.000, 0.981], [0.500, 0.500, 0.195], [0.500, 0.500, 0.805]],
  "e_above_lowest_polymorph_mev_per_atom": 371,
  "sg": "I-4m2"
}

[7]
{
  "formula": "Li6V3P8O29",
  "functional": "PBE with a Hubbard U",
  "state": "relaxed",
  "lattice": [[9.814, 0.000, 0.000], [-4.891, 8.518, 0.000], [-0.097, -0.128, 13.980]],
  "species": ["Li", "Li", "Li", "Li", "Li", "Li", "Li", "Li", "Li", "Li", "Li", "Li", "V", "V", "V", "V", "V", "V", "P", "P", "P", "P", "P", "P", "P", "P", "P", "P", "P", "P", "P", "P", "P", "P", "O", "O", "O", "O", "O", "O", "O", "O", "O", "O", "O", "O", "O", "O", "O", "O", "O", "O", "O", "O", "O", "O", "O", "O", "O", "O", "O", "O", "O", "O", "O", "O", "O", "O", "O", "O", "O", "O", "O", "O", "O", "O", "O", "O", "O", "O", "O", "O", "O", "O", "O", "O", "O", "O", "O", "O", "O", "O"],
  "frac_coords": [[0.000, 0.000, 0.000], [0.000, 0.441, 0.502], [0.135, 0.579, 0.999], [0.139, 0.996, 0.505], [0.226, 0.762, 0.382], [0.250, 0.336, 0.826], [0.567, 0.001, 0.052], [0.583, 0.577, 0.502], [0.678, 0.350, 0.377], [0.810, 0.343, 0.878], [0.816, 0.899, 0.381], [0.866, 0.684, 0.931], [0.343, 0.671, 0.187], [0.346, 0.103, 0.695], [0.474, 0.242, 0.185], [0.479, 0.674, 0.693], [0.907, 0.240, 0.688], [0.910, 0.103, 0.192], [0.001, 0.990, 0.785], [0.135, 0.581, 0.784], [0.145, 0.992, 0.285], [0.216, 0.894, 0.098], [0.224, 0.756, 0.600], [0.238, 0.336, 0.066], [0.243, 0.337, 0.569], [0.575, 0.006, 0.310], [0.580, 0.010, 0.813], [0.590, 0.586, 0.282], [0.600, 0.451, 0.780], [0.672, 0.351, 0.595], [0.686, 0.758, 0.098], [0.815, 0.351, 0.098], [0.820, 0.903, 0.601], [0.996, 0.441, 0.281], [0.007, 0.291, 0.260], [0.013, 0.152, 0.770], [0.091, 0.185, 0.104], [0.094, 0.344, 0.608], [0.111, 0.889, 0.019], [0.115, 0.668, 0.691], [0.125, 0.875, 0.199], [0.127, 0.659, 0.874], [0.148, 0.666, 0.509], [0.158, 0.920, 0.377], [0.160, 0.588, 0.282], [0.166, 0.014, 0.779], [0.233, 0.338, 0.959], [0.235, 0.488, 0.105], [0.236, 0.330, 0.463], [0.240, 0.751, 0.096], [0.241, 0.188, 0.614], [0.242, 0.920, 0.600], [0.281, 0.562, 0.771], [0.293, 0.150, 0.263], [0.380, 0.043, 0.108], [0.382, 0.763, 0.620], [0.387, 0.343, 0.109], [0.395, 0.486, 0.608], [0.424, 0.855, 0.265], [0.429, 0.572, 0.263], [0.431, 0.011, 0.768], [0.436, 0.300, 0.775], [0.527, 0.192, 0.613], [0.534, 0.772, 0.106], [0.569, 0.002, 0.417], [0.570, 0.592, 0.778], [0.576, 0.422, 0.279], [0.577, 0.016, 0.920], [0.579, 0.156, 0.268], [0.580, 0.865, 0.771], [0.648, 0.330, 0.100], [0.656, 0.756, 0.599], [0.662, 0.427, 0.503], [0.663, 0.672, 0.375], [0.693, 0.468, 0.682], [0.701, 0.676, 0.014], [0.706, 0.465, 0.861], [0.706, 0.683, 0.196], [0.723, 0.999, 0.273], [0.725, 0.164, 0.776], [0.799, 0.187, 0.111], [0.809, 0.052, 0.619], [0.824, 0.338, 0.598], [0.828, 0.932, 0.103], [0.904, 0.435, 0.010], [0.904, 0.460, 0.190], [0.906, 0.424, 0.371], [0.908, 0.882, 0.692], [0.910, 0.917, 0.511], [0.917, 0.904, 0.873], [0.987, 0.413, 0.777], [0.995, 0.007, 0.283]],
  "e_above_lowest_polymorph_mev_per_atom": 1,
  "sg": "P1"
}

[8]
{
  "formula": "MoO2",
  "functional": "PBE with a Hubbard U",
  "state": "relaxed",
  "lattice": [[9.160, 0.000, 0.000], [0.000, 3.284, 0.000], [0.000, 0.000, 11.105]],
  "species": ["Mo", "Mo", "Mo", "Mo", "Mo", "Mo", "Mo", "Mo", "O", "O", "O", "O", "O", "O", "O", "O", "O", "O", "O", "O", "O", "O", "O", "O"],
  "frac_coords": [[0.063, 0.250, 0.115], [0.080, 0.250, 0.608], [0.420, 0.750, 0.108], [0.437, 0.750, 0.615], [0.563, 0.250, 0.385], [0.580, 0.250, 0.892], [0.920, 0.750, 0.392], [0.937, 0.750, 0.885], [0.002, 0.750, 0.222], [0.061, 0.250, 0.428], [0.108, 0.750, 0.999], [0.219, 0.750, 0.641], [0.281, 0.250, 0.141], [0.392, 0.250, 0.499], [0.439, 0.750, 0.928], [0.498, 0.250, 0.722], [0.502, 0.750, 0.278], [0.561, 0.250, 0.072], [0.608, 0.750, 0.501], [0.719, 0.750, 0.859], [0.781, 0.250, 0.359], [0.892, 0.250, 0.001], [0.939, 0.750, 0.572], [0.998, 0.250, 0.778]],
  "sg": "Pnma",
  "e_tot_ev_per_atom": -7.33
}

Please write out number 4 again, unchanged.
{
  "formula": "Li9Mn2Co5O16",
  "functional": "PBE with a Hubbard U",
  "state": "relaxed",
  "lattice": [[2.939, 0.000, 0.000], [-0.360, 5.931, 0.000], [-0.265, -0.208, 16.196]],
  "species": ["Li", "Li", "Li", "Li", "Li", "Li", "Li", "Li", "Li", "Mn", "Mn", "Co", "Co", "Co", "Co", "Co", "O", "O", "O", "O", "O", "O", "O", "O", "O", "O", "O", "O", "O", "O", "O", "O"],
  "frac_coords": [[0.000, 0.000, 0.000], [0.000, 0.000, 0.500], [0.000, 0.500, 0.000], [0.002, 0.499, 0.749], [0.497, 0.745, 0.882], [0.499, 0.250, 0.625], [0.501, 0.750, 0.375], [0.503, 0.255, 0.118], [0.998, 0.501, 0.251], [0.496, 0.255, 0.879], [0.504, 0.745, 0.121], [0.000, 0.500, 0.500], [0.008, 0.998, 0.251], [0.500, 0.250, 0.375], [0.500, 0.750, 0.625], [0.992, 0.002, 0.749], [0.019, 0.470, 0.874], [0.023, 0.974, 0.131], [0.026, 0.013, 0.370], [0.028, 0.512, 0.619], [0.467, 0.235, 0.755], [0.473, 0.237, 0.255], [0.473, 0.738, 0.506], [0.495, 0.754, 0.009], [0.505, 0.246, 0.991], [0.527, 0.262, 0.494], [0.527, 0.763, 0.745], [0.533, 0.765, 0.245], [0.972, 0.488, 0.381], [0.974, 0.987, 0.630], [0.977, 0.026, 0.869], [0.981, 0.530, 0.126]],
  "e_above_lowest_polymorph_mev_per_atom": 32,
  "sg": "P-1"
}